No. 1
Here is a geometry-optimized Rb2NdCuBr6 structure from the Materials Project database. Energies are from PBE.

a = 7.8881 Å, b = 7.8881 Å, c = 7.8881 Å
α = 60.00°, β = 60.00°, γ = 60.00°
Last column: nearest neighbours and their distance in Å.
Fractional coordinates of all 10 atoms:
Rb 0.2500 0.2500 0.2500  12 Br 3.95
Rb 0.7500 0.7500 0.7500  12 Br 3.95
Nd 0.0000 0.0000 0.0000  6 Br 2.89
Cu 0.5000 0.5000 0.5000  6 Br 2.69
Br 0.2586 0.2586 0.7414  1 Cu 2.69, 1 Nd 2.89
Br 0.2586 0.7414 0.2586  1 Cu 2.69, 1 Nd 2.89
Br 0.2586 0.7414 0.7414  1 Cu 2.69, 1 Nd 2.89
Br 0.7414 0.2586 0.2586  1 Cu 2.69, 1 Nd 2.89
Br 0.7414 0.2586 0.7414  1 Cu 2.69, 1 Nd 2.89
Br 0.7414 0.7414 0.2586  1 Cu 2.69, 1 Nd 2.89

Computed properties:
As for the symmetry: Fm-3m.

No. 2
Here is a geometry-optimized CuBrO2 structure from the Materials Project database. Energies are from PBE.

a = 7.1404 Å, b = 11.1518 Å, c = 3.8568 Å
α = 90.00°, β = 90.00°, γ = 90.00°
Last column: nearest neighbours and their distance in Å.
Fractional coordinates of all 16 atoms:
Cu 0.2351 0.0000 0.0000  2 O 1.92
Cu 0.2649 0.5000 0.5000  2 O 1.92
Cu 0.7351 0.5000 0.0000  2 O 1.92
Cu 0.7649 0.0000 0.5000  2 O 1.92
Br 0.0000 0.1328 0.2500  2 Cu 2.44
Br 0.0000 0.8672 0.7500  2 Cu 2.44
Br 0.5000 0.3672 0.7500  2 Cu 2.44
Br 0.5000 0.6328 0.2500  2 Cu 2.44
O 0.0904 0.4131 0.7831  1 O 1.32
O 0.0904 0.5869 0.2169  1 O 1.32
O 0.4096 0.0869 0.2831  1 O 1.32
O 0.4096 0.9131 0.7169  1 O 1.32
O 0.5904 0.0869 0.2169  1 O 1.32
O 0.5904 0.9131 0.7831  1 O 1.32
O 0.9096 0.4131 0.7169  1 O 1.32
O 0.9096 0.5869 0.2831  1 O 1.32

Computed properties:
As for the symmetry: C222_1.

No. 3
Here is a geometry-optimized CuBr2O12 structure from the Materials Project database. Energies are from PBE.

a = 9.6564 Å, b = 9.6564 Å, c = 9.6564 Å
α = 90.00°, β = 90.00°, γ = 90.00°
Last column: nearest neighbours and their distance in Å.
Fractional coordinates of all 60 atoms:
Cu 0.0000 0.0000 0.0000  6 O 1.95
Cu 0.0000 0.5000 0.5000  6 O 1.95
Cu 0.5000 0.0000 0.5000  6 O 1.95
Cu 0.5000 0.5000 0.0000  6 O 1.95
Br 0.2370 0.7370 0.7630  3 O 1.71
Br 0.2370 0.7630 0.2630  3 O 1.71
Br 0.2630 0.2370 0.7630  3 O 1.71
Br 0.2630 0.2630 0.2630  3 O 1.71
Br 0.7370 0.7370 0.7370  3 O 1.71
Br 0.7370 0.7630 0.2370  3 O 1.71
Br 0.7630 0.2370 0.7370  3 O 1.71
Br 0.7630 0.2630 0.2370  3 O 1.71
O 0.0433 0.6898 0.4474  1 Cu 1.95
O 0.0433 0.8102 0.9474  1 Cu 1.95
O 0.0526 0.5433 0.6898  1 Cu 1.95
O 0.0526 0.9567 0.1898  1 Cu 1.95
O 0.1218 0.1580 0.6907  1 Br 1.71
O 0.1218 0.3420 0.1907  1 Br 1.71
O 0.1580 0.6907 0.1218  1 Br 1.71
O 0.1580 0.8093 0.6218  1 Br 1.71
O 0.1898 0.0526 0.9567  1 Cu 1.95
O 0.1898 0.4474 0.4567  1 Cu 1.95
O 0.1907 0.1218 0.3420  1 Br 1.71
O 0.1907 0.3782 0.8420  1 Br 1.71
O 0.3093 0.6218 0.3420  1 Br 1.71
O 0.3093 0.8782 0.8420  1 Br 1.71
O 0.3102 0.5526 0.9567  1 Cu 1.95
O 0.3102 0.9474 0.4567  1 Cu 1.95
O 0.3420 0.1907 0.1218  1 Br 1.71
O 0.3420 0.3093 0.6218  1 Br 1.71
O 0.3782 0.6580 0.6907  1 Br 1.71
O 0.3782 0.8420 0.1907  1 Br 1.71
O 0.4474 0.0433 0.6898  1 Cu 1.95
O 0.4474 0.4567 0.1898  1 Cu 1.95
O 0.4567 0.1898 0.4474  1 Cu 1.95
O 0.4567 0.3102 0.9474  1 Cu 1.95
O 0.5433 0.6898 0.0526  1 Cu 1.95
O 0.5433 0.8102 0.5526  1 Cu 1.95
O 0.5526 0.5433 0.8102  1 Cu 1.95
O 0.5526 0.9567 0.3102  1 Cu 1.95
O 0.6218 0.1580 0.8093  1 Br 1.71
O 0.6218 0.3420 0.3093  1 Br 1.71
O 0.6580 0.6907 0.3782  1 Br 1.71
O 0.6580 0.8093 0.8782  1 Br 1.71
O 0.6898 0.0526 0.5433  1 Cu 1.95
O 0.6898 0.4474 0.0433  1 Cu 1.95
O 0.6907 0.1218 0.1580  1 Br 1.71
O 0.6907 0.3782 0.6580  1 Br 1.71
O 0.8093 0.6218 0.1580  1 Br 1.71
O 0.8093 0.8782 0.6580  1 Br 1.71
O 0.8102 0.5526 0.5433  1 Cu 1.95
O 0.8102 0.9474 0.0433  1 Cu 1.95
O 0.8420 0.1907 0.3782  1 Br 1.71
O 0.8420 0.3093 0.8782  1 Br 1.71
O 0.8782 0.6580 0.8093  1 Br 1.71
O 0.8782 0.8420 0.3093  1 Br 1.71
O 0.9474 0.0433 0.8102  1 Cu 1.95
O 0.9474 0.4567 0.3102  1 Cu 1.95
O 0.9567 0.1898 0.0526  1 Cu 1.95
O 0.9567 0.3102 0.5526  1 Cu 1.95

Computed properties:
As for the symmetry: Pa-3.

No. 4
Here is a geometry-optimized CuBrO2 structure from the Materials Project database. Energies are from PBE.

a = 6.9423 Å, b = 2.9661 Å, c = 6.0504 Å
α = 90.00°, β = 98.48°, γ = 90.00°
Last column: nearest neighbours and their distance in Å.
Fractional coordinates of all 8 atoms:
Cu 0.0000 0.0000 0.0000  4 O 1.92
Cu 0.5000 0.5000 0.0000  4 O 1.92
Br 0.0000 0.5000 0.5000  2 O 2.02
Br 0.5000 0.0000 0.5000  2 O 2.02
O 0.0821 0.5000 0.8338  2 Cu 1.92, 1 Br 2.02
O 0.4179 0.0000 0.1662  2 Cu 1.92, 1 Br 2.02
O 0.5821 0.0000 0.8338  2 Cu 1.92, 1 Br 2.02
O 0.9179 0.5000 0.1662  2 Cu 1.92, 1 Br 2.02

Computed properties:
As for the symmetry: C2/m.

DFT formation energy in eV/atom, matching the order above: -1.80 -0.27 0.39 -0.56